Compound: Ce2Sn3
Source: the Materials Project database
Functional: PBE
Structure: optimized geometry Values from VASP.

The structure in Quantum ESPRESSO input format:
```
&SYSTEM
  ibrav = 0, nat = 20, ntyp = 2
/
ATOMIC_SPECIES
Ce 140.12 Ce.upf
Sn 118.71 Sn.upf
ATOMIC_POSITIONS crystal
Ce 0.332 0.032 0.744
Ce 0.668 0.968 0.256
Ce 0.957 0.252 0.056
Ce 0.043 0.748 0.944
Ce 0.560 0.432 0.338
Ce 0.440 0.568 0.662
Ce 0.126 0.756 0.385
Ce 0.874 0.244 0.615
Sn 0.046 0.356 0.378
Sn 0.954 0.644 0.622
Sn 0.359 0.167 0.501
Sn 0.641 0.833 0.499
Sn 0.438 0.172 0.051
Sn 0.562 0.828 0.949
Sn 0.322 0.602 0.141
Sn 0.678 0.398 0.859
Sn 0.219 0.404 0.863
Sn 0.781 0.596 0.137
Sn 0.175 0.034 0.222
Sn 0.825 0.966 0.778
CELL_PARAMETERS angstrom
-1.853 5.505 2.776
-5.283 -5.399 3.697
9.777 -0.908 5.318
```

Summary:
The crystal system is triclinic. For the theoretical density, the calculation gives 7.5 g cm⁻³. As for the space group: P-1. The calculation puts the formation energy at -0.60 eV per atom. The electronic total energy is -107.49 eV/cell. The calculated volume comes out at 28.03 A^3/atom.